DFT (PBE-GGA) results for an optimized crystal structure of Na10NbGa7Si6S6O48.

Structure (POSCAR):
```
Na10NbGa7Si6S6O48
1.0
8.825 0.000 0.000
0.078 15.227 0.000
0.105 0.439 22.074
Na Nb Ga Si S O
30 3 21 18 18 144
Cartesian
0.000 0.000 0.000
0.122 10.415 14.642
1.262 12.879 12.861
1.234 12.755 1.866
1.272 2.857 20.159
1.234 2.711 9.093
1.400 7.778 16.542
1.378 7.767 5.547
2.462 0.231 11.004
2.821 5.017 10.912
2.926 10.613 10.999
2.979 10.165 18.338
4.079 13.056 14.733
4.096 3.169 22.001
4.153 12.836 22.016
4.477 2.853 14.780
4.498 12.773 7.409
4.625 8.058 21.983
5.767 15.545 16.680
5.791 10.450 20.155
5.735 10.267 9.149
5.679 5.231 1.919
5.700 0.165 5.580
5.842 5.420 12.827
6.869 2.586 3.772
7.318 3.083 11.003
8.387 4.771 0.088
8.548 10.791 22.038
8.546 15.273 14.732
8.869 5.141 7.325
1.178 7.691 2.360
5.656 15.485 13.332
5.739 15.226 2.192
0.954 2.599 5.826
1.037 2.365 1.475
1.200 2.865 12.468
1.216 12.707 5.116
1.230 2.773 16.849
1.277 7.812 13.232
1.338 13.127 20.726
1.327 12.945 15.997
1.312 7.790 8.744
1.392 12.778 9.468
1.419 8.028 19.800
5.446 10.091 5.891
5.587 10.309 16.826
5.542 0.277 8.774
5.674 10.596 12.513
5.660 0.404 19.993
5.632 9.998 1.276
5.728 5.416 16.190
5.731 5.158 5.020
5.852 5.563 20.565
5.827 5.156 9.580
2.439 0.650 14.702
2.524 10.537 7.317
2.630 10.256 21.959
3.093 10.299 14.650
3.098 0.468 22.008
4.300 2.475 10.953
4.429 7.595 18.341
4.447 13.176 10.882
4.445 7.933 3.637
6.892 2.915 7.313
7.025 13.372 21.959
7.006 12.524 14.760
7.003 2.680 21.913
7.538 2.929 14.703
7.639 8.003 21.934
8.804 5.690 10.995
8.779 4.742 3.651
8.794 0.231 3.693
2.539 15.057 7.300
2.543 5.050 14.700
2.589 5.808 22.037
3.127 5.177 7.340
3.698 2.574 3.656
3.889 13.076 18.358
3.872 7.812 10.997
4.371 3.157 18.359
4.377 12.382 3.662
6.955 8.193 14.641
6.927 7.427 7.338
7.555 12.790 7.331
8.149 10.246 3.678
8.284 15.358 10.943
8.340 5.375 18.332
8.767 10.029 10.984
8.831 10.837 18.355
8.873 15.243 18.345
0.098 1.285 4.894
0.187 8.993 3.613
0.230 9.194 9.815
0.289 11.646 19.569
0.193 3.823 2.317
0.239 11.398 3.755
0.327 14.437 17.130
0.246 1.335 11.037
0.325 14.154 10.838
0.341 6.581 18.445
0.313 6.599 12.293
0.380 4.157 18.210
0.620 14.623 19.569
0.566 11.394 10.848
0.521 0.777 2.266
0.609 9.509 12.222
0.646 11.457 17.148
0.667 9.506 18.413
0.627 1.359 18.273
0.605 6.249 3.485
0.644 4.165 11.106
0.679 13.980 3.871
0.656 4.222 5.007
0.732 6.284 9.652
1.772 1.233 13.351
1.759 9.122 1.160
1.841 9.061 7.494
1.919 11.714 21.849
1.856 11.266 6.036
1.938 14.368 14.860
1.951 6.361 20.830
1.938 6.382 14.563
1.952 14.500 8.573
1.946 4.440 15.899
1.889 4.029 0.124
1.924 1.174 7.163
2.049 9.042 14.453
2.169 11.672 14.807
2.256 14.362 21.887
2.101 1.377 0.131
2.203 6.372 7.390
2.278 14.148 6.166
2.279 3.966 7.278
2.280 6.247 1.140
2.357 4.201 13.482
2.403 11.484 8.668
2.406 1.655 15.958
2.493 9.299 20.668
2.699 2.585 11.191
2.777 7.811 18.449
2.776 13.093 10.868
2.782 7.824 3.416
2.882 3.056 18.262
2.919 12.540 3.781
2.881 2.386 4.839
3.022 12.890 19.564
2.928 2.711 2.394
3.057 13.204 17.121
3.011 8.106 9.820
3.038 7.588 12.208
3.923 10.100 16.017
3.921 5.090 8.600
3.995 10.644 13.332
3.969 5.364 6.151
4.022 0.787 20.729
4.033 15.092 7.392
4.022 5.156 14.806
4.056 5.659 21.926
4.079 14.955 1.221
4.094 0.435 14.549
4.119 10.013 0.080
4.189 10.497 7.219
4.487 1.417 9.767
4.570 8.888 4.915
4.657 3.976 19.554
4.704 11.842 18.307
4.650 6.576 10.829
4.723 14.287 18.433
4.613 3.741 3.714
4.653 11.600 2.451
4.611 1.353 3.566
4.706 6.645 17.058
4.739 14.159 12.219
4.747 8.996 11.138
4.941 3.748 17.112
5.001 1.807 18.442
4.989 3.941 10.867
5.048 6.976 19.726
5.000 11.827 4.893
4.999 13.750 3.559
5.055 11.673 11.053
5.007 6.430 3.837
5.080 13.862 9.572
5.109 9.124 18.236
5.069 1.789 12.283
5.067 8.538 2.264
6.214 13.987 20.712
6.206 11.892 16.007
6.227 4.105 21.779
6.181 1.582 1.217
6.228 1.421 7.466
6.250 3.601 5.973
6.344 14.035 14.537
6.271 11.500 0.205
6.296 6.861 8.543
6.361 6.851 14.799
6.363 8.795 13.438
6.384 8.804 7.199
6.467 4.156 14.909
6.592 1.523 14.526
6.674 6.680 21.911
6.654 13.965 7.416
6.627 8.904 0.006
6.708 11.572 7.231
6.723 13.983 1.182
6.712 6.581 6.146
6.790 9.055 15.847
6.754 3.882 8.631
6.850 1.603 20.727
6.904 11.602 13.433
7.101 0.181 3.536
7.185 5.496 10.883
7.156 4.862 3.738
7.307 10.120 11.123
7.315 10.082 4.867
7.379 10.703 18.221
7.403 15.375 18.432
7.334 0.344 9.801
7.400 10.380 2.416
7.470 5.543 17.156
7.511 15.196 12.218
7.548 5.137 19.582
8.337 3.077 13.304
8.366 13.003 6.119
8.406 12.644 8.549
8.441 8.077 14.540
8.413 7.509 7.467
8.463 2.524 15.961
8.480 7.322 1.193
8.599 12.813 14.899
8.636 13.284 21.857
8.611 8.221 20.668
8.495 2.431 0.037
8.553 2.834 7.245
```

- energy of formation (meV/atom) = -2365
- E (eV/atom) = -6.294
- magnetization (μB per atom) = 0.0000
- space-group type = No. 1